The following is a PBE+U calculation of an optimized crystal structure of LiNiPO4, from the Materials Project database.

The structure in CIF format:
```
data_LiNiPO4
_chemical_formula_sum 'Li16 Ni16 P16 O64'
_symmetry_space_group_name_H-M 'P 1'
_symmetry_Int_Tables_number 1
_symmetry_space_group_name_Hall 'P 1'
_cell_length_a 13.2978
_cell_length_b 5.0602
_cell_length_c 21.9892
_cell_angle_alpha 90.00
_cell_angle_beta 126.94
_cell_angle_gamma 90.00
loop_
_atom_site_label
_atom_site_type_symbol
_atom_site_fract_x
_atom_site_fract_y
_atom_site_fract_z
Li1 Li 0.0563 0.2283 0.2184
Li2 Li 0.0563 0.2717 0.7184
Li3 Li 0.1276 0.1763 0.8671
Li4 Li 0.1276 0.3237 0.3671
Li5 Li 0.3084 0.7338 0.9386
Li6 Li 0.3084 0.7662 0.4386
Li7 Li 0.3632 0.7481 0.6249
Li8 Li 0.3632 0.7519 0.1249
Li9 Li 0.6368 0.2481 0.8751
Li10 Li 0.6368 0.2519 0.3751
Li11 Li 0.6916 0.2338 0.5614
Li12 Li 0.6916 0.2662 0.0614
Li13 Li 0.8724 0.6763 0.6329
Li14 Li 0.8724 0.8237 0.1329
Li15 Li 0.9437 0.7283 0.2816
Li16 Li 0.9437 0.7717 0.7816
Ni1 Ni 0.1316 0.7391 0.6229
Ni2 Ni 0.1316 0.7609 0.1229
Ni3 Ni 0.1537 0.2006 0.5441
Ni4 Ni 0.1537 0.2994 0.0441
Ni5 Ni 0.3781 0.2485 0.3745
Ni6 Ni 0.3781 0.2515 0.8745
Ni7 Ni 0.4171 0.7436 0.3086
Ni8 Ni 0.4171 0.7564 0.8086
Ni9 Ni 0.5829 0.2436 0.1914
Ni10 Ni 0.5829 0.2564 0.6914
Ni11 Ni 0.6219 0.7485 0.1255
Ni12 Ni 0.6219 0.7515 0.6255
Ni13 Ni 0.8463 0.7006 0.9559
Ni14 Ni 0.8463 0.7994 0.4559
Ni15 Ni 0.8684 0.2391 0.8771
Ni16 Ni 0.8684 0.2609 0.3771
P1 P 0.0844 0.7225 0.4609
P2 P 0.0844 0.7775 0.9609
P3 P 0.1670 0.7356 0.7827
P4 P 0.1670 0.7644 0.2827
P5 P 0.3426 0.2396 0.7085
P6 P 0.3426 0.2604 0.2085
P7 P 0.4038 0.1945 0.0371
P8 P 0.4038 0.3055 0.5371
P9 P 0.5962 0.6945 0.4629
P10 P 0.5962 0.8055 0.9629
P11 P 0.6574 0.7396 0.7915
P12 P 0.6574 0.7604 0.2915
P13 P 0.8330 0.2356 0.7173
P14 P 0.8330 0.2644 0.2173
P15 P 0.9156 0.2225 0.0391
P16 P 0.9156 0.2775 0.5391
O1 O 0.0331 0.0971 0.5763
O2 O 0.0331 0.4029 0.0763
O3 O 0.0402 0.0650 0.9574
O4 O 0.0402 0.4350 0.4574
O5 O 0.0773 0.5729 0.2829
O6 O 0.0773 0.9271 0.7829
O7 O 0.1015 0.6423 0.6997
O8 O 0.1015 0.8577 0.1997
O9 O 0.1484 0.7420 0.4231
O10 O 0.1484 0.7580 0.9231
O11 O 0.1767 0.6983 0.0477
O12 O 0.1767 0.8017 0.5477
O13 O 0.2047 0.0186 0.3329
O14 O 0.2047 0.4814 0.8329
O15 O 0.2393 0.0907 0.1397
O16 O 0.2393 0.4093 0.6397
O17 O 0.2879 0.2072 0.5285
O18 O 0.2879 0.2928 0.0285
O19 O 0.2888 0.6018 0.3173
O20 O 0.2888 0.8982 0.8173
O21 O 0.2973 0.5517 0.2001
O22 O 0.2973 0.9483 0.7001
O23 O 0.3661 0.1106 0.9580
O24 O 0.3661 0.3894 0.4580
O25 O 0.3681 0.1306 0.2807
O26 O 0.3681 0.3694 0.7807
O27 O 0.4585 0.2331 0.7110
O28 O 0.4585 0.2669 0.2110
O29 O 0.4598 0.5508 0.5931
O30 O 0.4598 0.9492 0.0931
O31 O 0.4900 0.5947 0.9250
O32 O 0.4900 0.9053 0.4250
O33 O 0.5100 0.0947 0.5750
O34 O 0.5100 0.4053 0.0750
O35 O 0.5402 0.0508 0.9069
O36 O 0.5402 0.4492 0.4069
O37 O 0.5415 0.7331 0.7890
O38 O 0.5415 0.7669 0.2890
O39 O 0.6319 0.6306 0.2193
O40 O 0.6319 0.8694 0.7193
O41 O 0.6339 0.6106 0.5420
O42 O 0.6339 0.8894 0.0420
O43 O 0.7027 0.0517 0.2999
O44 O 0.7027 0.4483 0.7999
O45 O 0.7112 0.1018 0.1827
O46 O 0.7112 0.3982 0.6827
O47 O 0.7121 0.7072 0.9715
O48 O 0.7121 0.7928 0.4715
O49 O 0.7607 0.5907 0.3603
O50 O 0.7607 0.9093 0.8603
O51 O 0.7953 0.5186 0.1671
O52 O 0.7953 0.9814 0.6671
O53 O 0.8233 0.1983 0.4523
O54 O 0.8233 0.3017 0.9523
O55 O 0.8516 0.2420 0.0769
O56 O 0.8516 0.2580 0.5769
O57 O 0.8985 0.1423 0.8003
O58 O 0.8985 0.3577 0.3003
O59 O 0.9227 0.0729 0.2171
O60 O 0.9227 0.4271 0.7171
O61 O 0.9598 0.5650 0.5426
O62 O 0.9598 0.9350 0.0426
O63 O 0.9669 0.5971 0.9237
O64 O 0.9669 0.9029 0.4237
```

- Total energy after the MP2020 corrections: -6.976 eV/atom
- Total magnetization: 32.000 Bohr magnetons per cell
- Final energy: -6.2202 eV per atom
- Energy above the lowest structure with this stoichiometry: 88.8 meV/atom
- ΔE_f: -2.277 eV/atom

---

The following is a PBE+U calculation of an optimized crystal structure of LiNiP2O7, from the Materials Project database.

The structure in CIF format:
```
data_LiNiP2O7
_chemical_formula_sum 'Li4 Ni4 P8 O28'
_symmetry_space_group_name_H-M 'P 1'
_symmetry_Int_Tables_number 1
_symmetry_space_group_name_Hall 'P 1'
_cell_length_a 7.1230
_cell_length_b 8.3055
_cell_length_c 9.7860
_cell_angle_alpha 90.00
_cell_angle_beta 110.13
_cell_angle_gamma 90.00
loop_
_atom_site_label
_atom_site_type_symbol
_atom_site_fract_x
_atom_site_fract_y
_atom_site_fract_z
Li1 Li 0.1776 0.1260 0.2438
Li2 Li 0.1776 0.3740 0.7438
Li3 Li 0.8224 0.6260 0.2562
Li4 Li 0.8224 0.8740 0.7562
Ni1 Ni 0.2274 0.0010 0.7502
Ni2 Ni 0.2274 0.4990 0.2502
Ni3 Ni 0.7726 0.5010 0.7498
Ni4 Ni 0.7726 0.9990 0.2498
P1 P 0.1908 0.6886 0.9408
P2 P 0.1908 0.8114 0.4408
P3 P 0.4026 0.2200 0.0555
P4 P 0.4026 0.2800 0.5555
P5 P 0.5974 0.7200 0.4445
P6 P 0.5974 0.7800 0.9445
P7 P 0.8092 0.1886 0.5592
P8 P 0.8092 0.3114 0.0592
O1 O 0.0762 0.5514 0.8413
O2 O 0.0762 0.9486 0.3413
O3 O 0.1177 0.6460 0.3752
O4 O 0.1177 0.8540 0.8752
O5 O 0.1932 0.6725 0.0955
O6 O 0.1932 0.8275 0.5955
O7 O 0.2748 0.1872 0.6267
O8 O 0.2748 0.3128 0.1267
O9 O 0.2800 0.1965 0.8944
O10 O 0.2800 0.3035 0.3944
O11 O 0.4148 0.6622 0.9377
O12 O 0.4148 0.8378 0.4377
O13 O 0.4802 0.0669 0.1427
O14 O 0.4802 0.4331 0.6427
O15 O 0.5198 0.5669 0.3573
O16 O 0.5198 0.9331 0.8573
O17 O 0.5852 0.1622 0.5623
O18 O 0.5852 0.3378 0.0623
O19 O 0.7200 0.6965 0.6056
O20 O 0.7200 0.8035 0.1056
O21 O 0.7252 0.6872 0.8733
O22 O 0.7252 0.8128 0.3733
O23 O 0.8068 0.1725 0.4045
O24 O 0.8068 0.3275 0.9045
O25 O 0.8823 0.1460 0.1248
O26 O 0.8823 0.3540 0.6248
O27 O 0.9238 0.0514 0.6587
O28 O 0.9238 0.4486 0.1587
```

- Total energy after the MP2020 corrections: -7.076 eV/atom
- Total magnetization: 12.000 Bohr magnetons per cell
- Final energy: -6.4077 eV per atom
- Energy above the lowest structure with this stoichiometry: 54.4 meV/atom
- ΔE_f: -2.244 eV/atom

---

The following is a PBE+U calculation of an optimized crystal structure of LiNiPO4, from the Materials Project database.

The structure in CIF format:
```
data_LiNiPO4
_chemical_formula_sum 'Li4 Ni4 P4 O16'
_symmetry_space_group_name_H-M 'P 1'
_symmetry_Int_Tables_number 1
_symmetry_space_group_name_Hall 'P 1'
_cell_length_a 4.9754
_cell_length_b 8.2621
_cell_length_c 8.6260
_cell_angle_alpha 100.06
_cell_angle_beta 90.05
_cell_angle_gamma 107.53
loop_
_atom_site_label
_atom_site_type_symbol
_atom_site_fract_x
_atom_site_fract_y
_atom_site_fract_z
Li1 Li 0.1512 0.3030 0.7174
Ni1 Ni 0.0223 0.0452 0.0075
O1 O 0.4636 0.9271 0.8207
O2 O 0.8929 0.5357 0.0780
O3 O 0.9383 0.5362 0.7823
O4 O 0.4012 0.7996 0.4666
O5 O 0.8911 0.1905 0.8799
Ni2 Ni 0.8407 0.6814 0.2805
Ni3 Ni 0.5220 0.0452 0.5076
O6 O 0.3911 0.1908 0.3798
O7 O 0.4692 0.1905 0.7099
O8 O 0.9694 0.1905 0.2097
O9 O 0.4382 0.5361 0.2823
Ni4 Ni 0.3408 0.6814 0.7804
O10 O 0.9637 0.9271 0.3207
P1 P 0.0625 0.1254 0.3542
P2 P 0.3010 0.6012 0.4336
O11 O 0.4247 0.1901 0.0054
Li2 Li 0.7119 0.4235 0.5704
O12 O 0.9725 0.5363 0.4080
P3 P 0.5625 0.1253 0.8542
O13 O 0.4725 0.5362 0.9080
Li3 Li 0.2117 0.4235 0.0705
P4 P 0.8009 0.6012 0.9337
Li4 Li 0.6514 0.3031 0.2174
O14 O 0.9243 0.1902 0.5052
O15 O 0.3932 0.5356 0.5780
O16 O 0.9010 0.7995 0.9665
```

- Total energy after the MP2020 corrections: -6.981 eV/atom
- Total magnetization: 0.000 Bohr magnetons per cell
- Final energy: -6.2251 eV per atom
- Energy above the lowest structure with this stoichiometry: 83.9 meV/atom
- ΔE_f: -2.281 eV/atom